VASP calculation (PBE) on an optimized crystal structure of Mn2SiS4.

Unit cell a=12.740 b=7.456 c=5.943 alpha=90.00 beta=90.00 gamma=90.00
Fractional coordinates of all 28 atoms:
Mn 0.000 0.000 0.000
Mn 0.000 0.500 0.000
Mn 0.231 0.250 0.492
Mn 0.269 0.750 0.992
Mn 0.500 0.000 0.500
Mn 0.500 0.500 0.500
Mn 0.731 0.250 0.008
Mn 0.769 0.750 0.508
Si 0.090 0.750 0.408
Si 0.410 0.250 0.908
Si 0.590 0.750 0.092
Si 0.910 0.250 0.592
S 0.065 0.250 0.737
S 0.093 0.750 0.765
S 0.167 0.524 0.254
S 0.167 0.976 0.254
S 0.333 0.024 0.754
S 0.333 0.476 0.754
S 0.407 0.250 0.265
S 0.435 0.750 0.237
S 0.565 0.250 0.763
S 0.593 0.750 0.735
S 0.667 0.524 0.246
S 0.667 0.976 0.246
S 0.833 0.024 0.746
S 0.833 0.476 0.746
S 0.907 0.250 0.235
S 0.935 0.750 0.263

Summary:
DFT total energy (eV per atom): -6.334
ρ (g/cm³): 3.13
V (Å³/f.u.): 141